[1]
5
Lattice="-3.420 -1.815 1.925 -0.141 -3.017 -3.094 5.083 -0.723 3.493" Properties=species:S:1:pos:R:3 comment="CeAl3Au (GGA-PBE, relaxed)" e_tot_ev_per_atom=-4.669 delta_e_f_ev_per_atom=-0.580 density_g_cm3=6.869 pbc="T T T"
Al -0.033 -2.500 2.439
Al 1.606 -3.101 -0.071
Al 2.645 -2.514 2.329
Au -0.932 -3.222 0.163
Ce 1.467 -5.501 2.275

***

[2]
8
Lattice="-10.559 0.626 -2.055 -10.015 -3.589 -1.708 -10.555 -1.214 1.792" Properties=species:S:1:pos:R:3 comment="CeAl4Ge2Au (GGA-PBE, relaxed)" e_tot_ev_per_atom=-4.601 delta_e_f_ev_per_atom=-0.422 density_g_cm3=5.933 pbc="T T T"
Ge -6.963 -0.934 -0.441
Ge -24.166 -3.243 -1.531
Al -28.531 -3.828 -1.807
Al -9.576 -1.285 -0.607
Al -21.552 -2.892 -1.365
Al -2.598 -0.349 -0.165
Au 0.000 0.000 0.000
Ce -15.564 -2.089 -0.986

***

[3]
10
Lattice="1.653 -5.740 -4.087 -2.688 -6.514 1.652 -5.048 -3.009 -4.224" Properties=species:S:1:pos:R:3 comment="Rb2AlAuCl6 (GGA-PBE, relaxed)" e_tot_ev_per_atom=-3.363 energy_corrected_mp2020_ev_per_atom=-3.73 delta_e_f_ev_per_atom=-1.724 density_g_cm3=3.763 pbc="T T T"
Cl -4.122 -5.144 -3.811
Cl -0.515 -6.614 -3.737
Cl -2.851 -7.030 -0.648
Cl -1.962 -10.119 -2.848
Cl -3.232 -8.233 -6.011
Cl -5.568 -8.650 -2.922
Rb -1.521 -3.816 -1.665
Rb -4.562 -11.447 -4.994
Au -3.042 -7.632 -3.329
Al 0.000 0.000 0.000

***

[4]
10
Lattice="5.615 -1.857 5.804 4.012 6.064 3.974 -1.635 1.513 7.981" Properties=species:S:1:pos:R:3 comment="Cs2AlAuI6 (GGA-PBE, relaxed)" e_tot_ev_per_atom=-2.604 energy_corrected_mp2020_ev_per_atom=-2.83 delta_e_f_ev_per_atom=-1.036 density_g_cm3=5.165 pbc="T T T"
Au 3.996 2.859 8.879
Cs 1.998 1.430 4.440
Cs 5.994 4.289 13.319
Al 0.000 0.000 0.000
I 4.004 4.511 6.352
I 6.898 3.553 9.342
I 1.094 2.165 8.416
I 4.830 0.429 7.294
I 3.162 5.290 10.464
I 3.988 1.208 11.407

***

[5]
4
Lattice="0.000 3.147 3.147 3.147 0.000 3.147 3.147 3.147 0.000" Properties=species:S:1:pos:R:3 comment="AlCuAu2 (GGA-PBE, relaxed)" e_tot_ev_per_atom=-3.856 delta_e_f_ev_per_atom=-0.258 density_g_cm3=12.907 pbc="T T T"
Au 1.573 1.573 1.573
Au 4.720 4.720 4.720
Al 3.147 3.147 3.147
Cu 0.000 0.000 0.000

***

[6]
10
Lattice="-2.618 -1.691 -3.026 3.140 -2.762 -1.174 -3.666 -7.238 7.217" Properties=species:S:1:pos:R:3 comment="La2Al6CuAu (GGA-PBE, relaxed)" e_tot_ev_per_atom=-4.540 delta_e_f_ev_per_atom=-0.569 density_g_cm3=5.675 pbc="T T T"
La -1.535 -5.772 1.436
La -3.655 -7.217 7.197
Al 0.676 -3.147 1.174
Al -3.064 -8.792 4.447
Al -1.198 -6.846 4.862
Al -4.077 -6.310 3.937
Al -2.204 -2.612 0.248
Al -1.449 -2.860 2.852
Cu -0.218 -3.172 -1.157
Au -2.301 -4.544 4.531

***

[7]
25
Lattice="-3.226 2.497 1.567 -2.743 -1.691 -2.952 -9.658 -19.127 16.697" Properties=species:S:1:pos:R:3 comment="La5Al15Cu2Au3 (GGA-PBE, relaxed)" e_tot_ev_per_atom=-4.546 delta_e_f_ev_per_atom=-0.590 density_g_cm3=5.856 pbc="T T T"
Al -7.692 -10.206 6.525
Al -10.372 -18.049 13.508
Al -6.577 -4.143 5.250
Al -5.251 -0.263 1.795
Al -12.389 -17.982 15.344
Al -7.934 -8.112 8.785
Al -7.036 -2.317 1.396
Al -9.271 -12.025 12.269
Al -9.694 -10.096 8.322
Al -8.047 -14.411 12.498
Al -10.613 -15.955 15.768
Al -6.336 -6.237 2.991
Al -5.010 -2.357 -0.464
Al -5.362 -6.554 5.502
Al -9.029 -14.119 10.010
La -9.642 -19.080 16.656
La -4.298 -3.441 2.730
La -11.276 -14.725 12.444
La -8.602 -6.902 5.478
La -6.957 -11.223 9.659
Cu -3.332 -0.614 0.213
Cu -7.643 -4.094 2.978
Au -10.311 -11.902 9.931
Au -5.986 -8.380 7.128
Au -8.666 -16.223 14.112

***

[8]
25
Lattice="-2.585 -1.979 -2.856 3.276 -0.201 -2.826 7.530 -24.945 7.185" Properties=species:S:1:pos:R:3 comment="La5Al15Cu4Au (GGA-PBE, relaxed)" e_tot_ev_per_atom=-4.537 delta_e_f_ev_per_atom=-0.515 density_g_cm3=5.111 pbc="T T T"
La 7.523 -24.920 7.174
La 6.413 -21.178 2.303
La 3.554 -11.687 -1.687
La 4.644 -15.361 3.157
La 1.772 -5.828 -0.850
Al 1.192 -9.184 -1.283
Al 6.990 -17.814 2.733
Al 2.687 -3.528 -3.272
Al -0.244 -4.416 -3.287
Al 4.714 -15.539 -0.068
Al 8.457 -22.686 4.780
Al 5.527 -23.575 4.765
Al 2.629 -13.955 0.722
Al 4.060 -18.703 2.718
Al 1.841 -6.000 -4.076
Al 2.932 -9.678 0.768
Al 4.123 -8.295 -1.268
Al 5.560 -13.066 0.737
Al 7.599 -25.117 3.958
Al 5.783 -19.144 4.747
Cu 5.368 -17.711 0.845
Cu 2.496 -8.176 -3.162
Cu 3.588 -11.856 1.684
Cu 0.717 -2.326 -2.322
Au 6.453 -21.368 5.681

***

[9]
13
Lattice="16.825 -2.104 0.000 16.825 2.104 0.000 16.562 0.000 3.635" Properties=species:S:1:pos:R:3 comment="Dy2Al6Si4Au (GGA-PBE, relaxed)" e_tot_ev_per_atom=-4.747 delta_e_f_ev_per_atom=-0.388 density_g_cm3=5.137 pbc="T T T"
Si 6.785 0.000 0.491
Si 36.873 0.000 2.669
Si 13.340 0.000 0.966
Si 43.428 0.000 3.144
Dy 21.819 0.000 1.580
Dy 28.394 0.000 2.055
Al 9.314 0.000 0.674
Al 40.900 0.000 2.961
Al 34.303 0.000 2.483
Al 15.910 0.000 1.152
Al 2.625 0.000 0.190
Al 47.588 0.000 3.445
Au 0.000 0.000 0.000

***

[10]
12
Lattice="4.401 0.000 0.000 0.000 7.165 0.000 0.000 0.000 7.841" Properties=species:S:1:pos:R:3 comment="ErAlAu (GGA-PBE, relaxed)" e_tot_ev_per_atom=-4.656 delta_e_f_ev_per_atom=-0.794 density_g_cm3=10.510 pbc="T T T"
Au 3.301 5.118 3.097
Au 1.100 2.047 4.744
Au 3.301 1.536 0.824
Au 1.100 5.629 7.017
Er 1.100 3.666 1.487
Er 1.100 0.084 2.433
Er 3.301 3.498 6.353
Er 3.301 7.081 5.407
Al 3.301 5.982 0.570
Al 1.100 4.765 4.491
Al 3.301 2.400 3.350
Al 1.100 1.183 7.270